Version w
Computed, not measured: a geometry-optimized MgSc2S4 structure at the PBE level of DFT.

The structure in CIF format:
```
data_MgSc2S4
_symmetry_space_group_name_H-M 'P n m a'
_symmetry_Int_Tables_number 62
_symmetry_space_group_name_Hall '-P 2ac 2n'
_cell_length_a 7.705
_cell_length_b 7.222
_cell_length_c 10.735
_cell_angle_alpha 90.00
_cell_angle_beta 90.00
_cell_angle_gamma 90.00
loop_
_atom_site_label
_atom_site_fract_x
_atom_site_fract_y
_atom_site_fract_z
_atom_site_occupancy
Mg1 0.171 0.250 0.109 1
Sc1 0.030 0.750 0.200 1
Sc2 0.062 0.250 0.492 1
S1 0.098 0.517 0.661 1
S2 0.119 0.750 0.974 1
S3 0.230 0.750 0.387 1
```

***

Version x
Computed, not measured: a geometry-optimized MgSc2S4 structure at the PBE level of DFT.

The structure in CIF format:
```
data_MgSc2S4
_symmetry_space_group_name_H-M 'P n m a'
_symmetry_Int_Tables_number 62
_symmetry_space_group_name_Hall '-P 2ac 2n'
_cell_length_a 12.810
_cell_length_b 7.477
_cell_length_c 6.327
_cell_angle_alpha 90.00
_cell_angle_beta 90.00
_cell_angle_gamma 90.00
loop_
_atom_site_label
_atom_site_fract_x
_atom_site_fract_y
_atom_site_fract_z
_atom_site_occupancy
Mg1 0.094 0.250 0.074 1
Sc1 0.000 0.000 0.500 1
Sc2 0.234 0.750 0.997 1
S1 0.077 0.750 0.745 1
S2 0.091 0.250 0.698 1
S3 0.170 0.501 0.266 1
```

***

What is the stability order? It is version x, version w, from most stable to least stable.

***

Version w
Computed, not measured: a geometry-optimized FePS3 structure at the PBE level of DFT.

The structure in CIF format:
```
data_FePS3
_symmetry_space_group_name_H-M 'P -1'
_symmetry_Int_Tables_number 2
_symmetry_space_group_name_Hall '-P 1'
_cell_length_a 5.875
_cell_length_b 7.677
_cell_length_c 10.333
_cell_angle_alpha 90.06
_cell_angle_beta 90.00
_cell_angle_gamma 105.91
loop_
_atom_site_label
_atom_site_fract_x
_atom_site_fract_y
_atom_site_fract_z
_atom_site_occupancy
Fe1 0.210 0.006 0.068 1
Fe2 0.210 0.006 0.432 1
P1 0.214 0.841 0.750 1
P2 0.305 0.139 0.750 1
S1 0.014 0.772 0.584 1
S2 0.014 0.772 0.916 1
S3 0.022 0.811 0.250 1
S4 0.475 0.222 0.250 1
S5 0.489 0.207 0.582 1
S6 0.490 0.207 0.918 1
```

***

Version x
Computed, not measured: a geometry-optimized FePS3 structure at the PBE level of DFT.

The structure in CIF format:
```
data_FePS3
_symmetry_space_group_name_H-M 'P -1'
_symmetry_Int_Tables_number 2
_symmetry_space_group_name_Hall '-P 1'
_cell_length_a 5.858
_cell_length_b 7.086
_cell_length_c 10.361
_cell_angle_alpha 89.98
_cell_angle_beta 89.98
_cell_angle_gamma 73.96
loop_
_atom_site_label
_atom_site_fract_x
_atom_site_fract_y
_atom_site_fract_z
_atom_site_occupancy
Fe1 0.249 0.000 0.074 1
Fe2 0.249 0.000 0.426 1
P1 0.200 0.161 0.750 1
P2 0.301 0.839 0.750 1
S1 0.006 0.232 0.583 1
S2 0.006 0.232 0.917 1
S3 0.018 0.226 0.250 1
S4 0.482 0.774 0.250 1
S5 0.494 0.769 0.583 1
S6 0.494 0.769 0.917 1
```

***

What is the stability order? It is version w, version x, from most stable to least stable.

***

Version w
Computed, not measured: a geometry-optimized LiCu6OF11 structure at the PBE level of DFT.

The structure in CIF format:
```
data_LiCu6OF11
_symmetry_space_group_name_H-M 'P 1'
_symmetry_Int_Tables_number 1
_symmetry_space_group_name_Hall 'P 1'
_cell_length_a 4.623
_cell_length_b 5.418
_cell_length_c 9.278
_cell_angle_alpha 85.63
_cell_angle_beta 87.66
_cell_angle_gamma 87.03
loop_
_atom_site_label
_atom_site_fract_x
_atom_site_fract_y
_atom_site_fract_z
_atom_site_occupancy
Li1 0.000 0.000 0.000 1
Cu1 0.252 0.578 0.550 1
Cu2 0.269 0.937 0.244 1
Cu3 0.409 0.243 0.818 1
Cu4 0.712 0.711 0.856 1
Cu5 0.744 0.095 0.546 1
Cu6 0.777 0.439 0.229 1
O1 0.465 0.305 0.625 1
F1 0.044 0.876 0.468 1
F2 0.049 0.524 0.789 1
F3 0.066 0.218 0.145 1
F4 0.412 0.939 0.955 1
F5 0.479 0.643 0.315 1
F6 0.535 0.805 0.624 1
F7 0.564 0.148 0.297 1
F8 0.571 0.429 0.967 1
F9 0.898 0.019 0.807 1
F10 0.968 0.373 0.464 1
F11 0.983 0.735 0.156 1
```

***

Version x
Computed, not measured: a geometry-optimized LiCu6OF11 structure at the PBE level of DFT.

The structure in CIF format:
```
data_LiCu6OF11
_symmetry_space_group_name_H-M 'P 1'
_symmetry_Int_Tables_number 1
_symmetry_space_group_name_Hall 'P 1'
_cell_length_a 4.723
_cell_length_b 5.448
_cell_length_c 8.766
_cell_angle_alpha 88.99
_cell_angle_beta 89.42
_cell_angle_gamma 88.10
loop_
_atom_site_label
_atom_site_fract_x
_atom_site_fract_y
_atom_site_fract_z
_atom_site_occupancy
Li1 0.000 0.000 0.000 1
Cu1 0.218 0.443 0.292 1
Cu2 0.243 0.735 0.590 1
Cu3 0.427 0.187 0.848 1
Cu4 0.748 0.938 0.273 1
Cu5 0.783 0.273 0.567 1
Cu6 0.786 0.587 0.923 1
O1 0.056 0.483 0.494 1
F1 0.015 0.166 0.189 1
F2 0.080 0.773 0.836 1
F3 0.476 0.714 0.339 1
F4 0.481 0.028 0.656 1
F5 0.485 0.404 0.014 1
F6 0.525 0.207 0.349 1
F7 0.547 0.514 0.675 1
F8 0.603 0.908 0.977 1
F9 0.973 0.685 0.171 1
F10 0.982 0.980 0.505 1
F11 0.989 0.278 0.858 1
```

***

What is the stability order? It is version w, version x, from most stable to least stable.

***

Version w
Computed, not measured: a geometry-optimized Te4Mo3WSe2S2 structure at the PBE level of DFT.

The structure in CIF format:
```
data_Te4Mo3WSe2S2
_symmetry_space_group_name_H-M 'P 3 m 1'
_symmetry_Int_Tables_number 156
_symmetry_space_group_name_Hall 'P 3 -2"'
_cell_length_a 3.3980
_cell_length_b 3.3980
_cell_length_c 38.6976
_cell_angle_alpha 90.00
_cell_angle_beta 90.00
_cell_angle_gamma 120.00
loop_
_atom_site_label
_atom_site_fract_x
_atom_site_fract_y
_atom_site_fract_z
_atom_site_occupancy
Te1 0.0000 0.0000 0.0000 1
Te2 0.0000 0.0000 0.0969 1
Te3 0.3333 0.6667 0.4364 1
Te4 0.3333 0.6667 0.5333 1
Mo1 0.0000 0.0000 0.4848 1
Mo2 0.3333 0.6667 0.0485 1
Mo3 0.3333 0.6667 0.6727 1
W1 0.0000 0.0000 0.8605 1
Se1 0.3333 0.6667 0.8177 1
Se2 0.3333 0.6667 0.9033 1
S1 0.0000 0.0000 0.6339 1
S2 0.0000 0.0000 0.7115 1
```

***

Version x
Computed, not measured: a geometry-optimized Te4Mo3WSe2S2 structure at the PBE level of DFT.

The structure in CIF format:
```
data_Te4Mo3WSe2S2
_symmetry_space_group_name_H-M 'P 3 m 1'
_symmetry_Int_Tables_number 156
_symmetry_space_group_name_Hall 'P 3 -2"'
_cell_length_a 3.3984
_cell_length_b 3.3984
_cell_length_c 40.1972
_cell_angle_alpha 90.00
_cell_angle_beta 90.00
_cell_angle_gamma 120.00
loop_
_atom_site_label
_atom_site_fract_x
_atom_site_fract_y
_atom_site_fract_z
_atom_site_occupancy
Te1 0.0000 0.0000 0.0000 1
Te2 0.0000 0.0000 0.0933 1
Te3 0.3333 0.6667 0.1898 1
Te4 0.3333 0.6667 0.2835 1
Mo1 0.0000 0.0000 0.8600 1
Mo2 0.3333 0.6667 0.0466 1
Mo3 0.3333 0.6667 0.4241 1
W1 0.0000 0.0000 0.2367 1
Se1 0.0000 0.0000 0.3830 1
Se2 0.0000 0.0000 0.4651 1
S1 0.3333 0.6667 0.8226 1
S2 0.3333 0.6667 0.8974 1
```

***

What is the stability order? It is version w, version x, from most stable to least stable.

***

Version w
Computed, not measured: a geometry-optimized Sm3RuO7 structure at the PBE level of DFT.

The structure in CIF format:
```
data_Sm3RuO7
_symmetry_space_group_name_H-M 'P n a 21'
_symmetry_Int_Tables_number 33
_symmetry_space_group_name_Hall 'P 2c -2n'
_cell_length_a 14.928
_cell_length_b 7.497
_cell_length_c 10.801
_cell_angle_alpha 90.00
_cell_angle_beta 90.00
_cell_angle_gamma 90.00
loop_
_atom_site_label
_atom_site_fract_x
_atom_site_fract_y
_atom_site_fract_z
_atom_site_occupancy
Sm1 0.024 0.234 0.000 1
Sm2 0.029 0.251 0.555 1
Sm3 0.110 0.496 0.275 1
Sm4 0.140 0.996 0.291 1
Sm5 0.221 0.755 0.011 1
Sm6 0.226 0.757 0.566 1
Ru1 0.125 0.501 0.784 1
Ru2 0.126 0.002 0.782 1
O1 0.016 0.959 0.885 1
O2 0.032 0.534 0.912 1
O3 0.032 0.542 0.657 1
O4 0.062 0.957 0.627 1
O5 0.082 0.251 0.775 1
O6 0.106 0.766 0.149 1
O7 0.118 0.735 0.414 1
O8 0.132 0.241 0.152 1
O9 0.144 0.264 0.416 1
O10 0.168 0.751 0.791 1
O11 0.191 0.049 0.933 1
O12 0.219 0.464 0.659 1
O13 0.220 0.463 0.913 1
O14 0.236 0.040 0.677 1
```

***

Version x
Computed, not measured: a geometry-optimized Sm3RuO7 structure at the PBE level of DFT.

The structure in CIF format:
```
data_Sm3RuO7
_symmetry_space_group_name_H-M 'C m c m'
_symmetry_Int_Tables_number 63
_symmetry_space_group_name_Hall '-C 2c 2'
_cell_length_a 10.800
_cell_length_b 7.423
_cell_length_c 7.540
_cell_angle_alpha 90.00
_cell_angle_beta 90.00
_cell_angle_gamma 90.00
loop_
_atom_site_label
_atom_site_fract_x
_atom_site_fract_y
_atom_site_fract_z
_atom_site_occupancy
Sm1 0.000 0.000 0.000 1
Sm2 0.222 0.302 0.250 1
Ru1 0.000 0.500 0.000 1
O1 0.000 0.415 0.250 1
O2 0.127 0.312 0.539 1
O3 0.132 0.025 0.250 1
```

***

What is the stability order? It is version w, version x, from most stable to least stable.

***

Version w
Computed, not measured: a geometry-optimized Ge structure at the PBE level of DFT.

The structure in CIF format:
```
data_Ge
_symmetry_space_group_name_H-M 'I a -3'
_symmetry_Int_Tables_number 206
_symmetry_space_group_name_Hall '-I 2b 2c 3'
_cell_length_a 7.048
_cell_length_b 7.048
_cell_length_c 7.048
_cell_angle_alpha 90.00
_cell_angle_beta 90.00
_cell_angle_gamma 90.00
loop_
_atom_site_label
_atom_site_fract_x
_atom_site_fract_y
_atom_site_fract_z
_atom_site_occupancy
Ge1 0.101 0.101 0.101 1
```

***

Version x
Computed, not measured: a geometry-optimized Ge structure at the PBE level of DFT.

The structure in CIF format:
```
data_Ge
_symmetry_space_group_name_H-M 'C m c e'
_symmetry_Int_Tables_number 64
_symmetry_space_group_name_Hall '-C 2ac 2'
_cell_length_a 8.866
_cell_length_b 6.015
_cell_length_c 5.882
_cell_angle_alpha 90.00
_cell_angle_beta 90.00
_cell_angle_gamma 90.00
loop_
_atom_site_label
_atom_site_fract_x
_atom_site_fract_y
_atom_site_fract_z
_atom_site_occupancy
Ge1 0.000 0.169 0.171 1
Ge2 0.218 0.000 0.500 1
```

***

What is the stability order? It is version w, version x, from most stable to least stable.

***

Version w
Computed, not measured: a geometry-optimized IrC2 structure at the PBE level of DFT.

The structure in CIF format:
```
data_IrC2
_symmetry_space_group_name_H-M 'C m c e'
_symmetry_Int_Tables_number 64
_symmetry_space_group_name_Hall '-C 2ac 2'
_cell_length_a 8.195
_cell_length_b 6.292
_cell_length_c 9.409
_cell_angle_alpha 90.00
_cell_angle_beta 90.00
_cell_angle_gamma 90.00
loop_
_atom_site_label
_atom_site_fract_x
_atom_site_fract_y
_atom_site_fract_z
_atom_site_occupancy
Ir1 0.000 0.196 0.206 1
Ir2 0.244 0.000 0.000 1
C1 0.083 0.246 0.484 1
C2 0.174 0.053 0.717 1
```

***

Version x
Computed, not measured: a geometry-optimized IrC2 structure at the PBE level of DFT.

The structure in CIF format:
```
data_IrC2
_symmetry_space_group_name_H-M 'C 1 2/m 1'
_symmetry_Int_Tables_number 12
_symmetry_space_group_name_Hall '-C 2y'
_cell_length_a 6.762
_cell_length_b 2.766
_cell_length_c 7.837
_cell_angle_alpha 90.00
_cell_angle_beta 107.07
_cell_angle_gamma 90.00
loop_
_atom_site_label
_atom_site_fract_x
_atom_site_fract_y
_atom_site_fract_z
_atom_site_occupancy
Ir1 0.135 0.000 0.292 1
C1 0.096 0.500 0.484 1
C2 0.183 0.000 0.788 1
```

***

What is the stability order? It is version w, version x, from most stable to least stable.